Record 1
# meta-GGA r2SCAN CaSiBO5, optimized geometry
# Crystal system: monoclinic
# DFT formation energy, eV per atom: -2.77
# ρ, g/cm³: 2.96
data_CaSiBO5
_chemical_formula_sum 'Ca4 Si4 B4 O20'
_space_group_name_H-M_alt 'P 1'
_space_group_IT_number 1
_space_group_name_Hall 'P 1'
_cell_length_a 7.643
_cell_length_b 4.897
_cell_length_c 9.523
_cell_angle_alpha 88.64
_cell_angle_beta 90.00
_cell_angle_gamma 90.00
loop_
_atom_site_label
_atom_site_fract_x
_atom_site_fract_y
_atom_site_fract_z
B1 0.094 0.566 0.170
Si1 0.758 0.528 0.584
O1 0.101 0.265 0.192
B2 0.906 0.434 0.830
O2 0.165 0.694 0.298
B3 0.406 0.566 0.670
Ca1 0.113 0.997 0.669
O3 0.917 0.668 0.150
O4 0.897 0.765 0.548
B4 0.594 0.434 0.330
O5 0.601 0.735 0.308
O6 0.792 0.350 0.947
O7 0.835 0.306 0.702
O8 0.603 0.765 0.048
Si2 0.742 0.528 0.084
Si3 0.258 0.472 0.916
O9 0.335 0.694 0.798
O10 0.083 0.332 0.850
Ca2 0.613 0.003 0.831
O11 0.399 0.265 0.692
Si4 0.242 0.472 0.416
O12 0.417 0.332 0.350
O13 0.899 0.735 0.808
O14 0.103 0.235 0.452
O15 0.397 0.235 0.952
O16 0.292 0.650 0.553
Ca3 0.887 0.003 0.331
O17 0.583 0.668 0.650
O18 0.208 0.650 0.053
O19 0.665 0.306 0.202
Ca4 0.387 0.997 0.169
O20 0.708 0.350 0.447

***

Record 2
# meta-GGA r2SCAN Ca2B5Os3, optimized geometry
# Crystal system: monoclinic
# DFT formation energy, eV per atom: -0.45
# ρ, g/cm³: 8.35
data_Ca2B5Os3
_chemical_formula_sum 'Ca2 B5 Os3'
_space_group_name_H-M_alt 'P 1'
_space_group_IT_number 1
_space_group_name_Hall 'P 1'
_cell_length_a 4.054
_cell_length_b 5.618
_cell_length_c 6.947
_cell_angle_alpha 78.21
_cell_angle_beta 73.03
_cell_angle_gamma 68.84
loop_
_atom_site_label
_atom_site_fract_x
_atom_site_fract_y
_atom_site_fract_z
B1 0.476 0.939 0.120
B2 0.080 0.983 0.311
B3 0.536 0.061 0.879
Ca1 0.074 0.557 0.761
Os1 0.611 0.865 0.403
B4 0.374 0.017 0.689
Os2 0.011 0.000 0.000
Os3 0.879 0.135 0.597
B5 0.734 0.500 0.500
Ca2 0.392 0.443 0.239